The following is a DFT calculation (PBE-GGA) of a relaxed structure of Na5In2SiSn2P5O24.

Properties
magnetic moment: 0.0 Bohr magnetons per cell
formation energy from the elements: -2532 meV per atom

The structure in extended XYZ format:
```
117
Lattice="9.007 0.000 0.000 -4.502 7.826 0.000 -0.065 -0.040 22.556" Properties=species:S:1:pos:R:3 pbc="T T T"
Na 0.000 0.000 0.000
Na -1.606 2.712 16.775
Na -0.060 0.093 11.172
Na -2.927 5.317 20.571
Na 1.211 2.439 20.631
Na -0.218 5.082 7.412
Na 1.660 2.278 12.973
Na 0.037 5.217 18.600
Na 1.672 2.845 5.504
Na 1.238 7.653 5.491
Na 4.426 2.338 14.940
Na 2.856 5.300 9.202
Na 1.689 7.601 20.693
Na 4.598 2.746 3.567
Na 5.686 5.112 13.086
In 0.009 5.122 4.078
In 0.011 5.174 15.373
In 4.492 2.445 11.526
In 4.563 2.501 0.415
In 4.461 7.725 14.594
In 4.467 7.711 19.009
Si 1.773 2.507 9.353
Si 3.251 5.426 5.584
Si 7.150 2.510 20.589
Sn -4.467 7.748 7.875
Sn -0.052 5.086 22.190
Sn 0.001 5.142 10.734
Sn 4.467 2.538 18.314
Sn 4.524 2.562 7.058
Sn 4.526 7.710 3.216
P -2.674 5.201 1.789
P -1.332 2.820 13.108
P -1.864 7.772 5.580
P 1.389 2.263 16.825
P 1.360 2.749 1.863
P -1.342 7.426 13.074
P 3.180 0.192 20.614
P 2.666 5.146 13.006
P 1.411 7.466 1.860
P 3.121 4.779 20.644
P 5.845 0.189 9.263
P 1.740 7.764 16.936
P 5.866 4.845 9.355
P 7.677 2.166 5.558
P 5.817 5.328 16.838
O -0.800 1.258 20.470
O -3.532 6.071 18.150
O -0.621 1.442 13.122
O -0.644 1.533 6.793
O -3.492 6.535 1.810
O -1.128 3.583 14.441
O -1.753 5.092 2.984
O -1.871 5.314 0.420
O -1.658 5.085 16.836
O -1.608 5.068 9.410
O -0.727 3.573 5.466
O -0.945 3.904 20.754
O 0.630 1.363 1.859
O -0.645 3.580 11.921
O -2.907 7.539 13.071
O 0.804 1.200 9.211
O -2.818 7.689 20.405
O -2.693 7.582 6.865
O 0.810 1.596 18.100
O 1.737 0.267 4.358
O 1.106 1.474 15.532
O 0.796 3.460 0.559
O -1.024 6.554 11.813
O -0.929 6.563 5.458
O 0.715 3.659 16.793
O 1.033 3.503 3.155
O -0.855 6.768 14.357
O 0.882 3.918 9.354
O -0.551 6.650 20.775
O 2.561 2.347 10.756
O 3.237 1.122 21.814
O 3.544 1.232 5.692
O 2.874 2.585 1.773
O 2.939 2.386 16.926
O 3.758 1.023 13.017
O 3.866 0.828 19.360
O 2.789 2.788 8.072
O 1.556 4.945 20.776
O 0.656 6.609 9.347
O 1.720 4.912 14.185
O 1.610 5.245 5.532
O 0.836 6.540 16.802
O 0.963 6.774 3.145
O 1.065 6.633 0.552
O 1.879 5.307 11.656
O 3.245 3.851 19.383
O 5.316 0.828 7.940
O 5.266 1.022 1.816
O 3.585 3.883 12.981
O 3.905 3.906 5.656
O 5.393 1.268 16.930
O 5.621 1.042 10.493
O 3.783 4.166 21.852
O 2.458 7.644 18.307
O 3.469 6.314 6.951
O 3.576 6.392 13.119
O 2.972 7.571 1.806
O 2.875 7.741 9.196
O 3.734 6.186 20.458
O 7.235 0.182 15.788
O 6.119 2.201 5.704
O 6.152 2.081 21.769
O 5.128 3.909 16.856
O 3.896 6.159 4.285
O 5.406 3.986 1.754
O 6.146 2.721 12.944
O 5.291 4.258 10.654
O 5.629 3.930 8.124
O 6.271 2.877 19.217
O 7.888 1.278 4.302
O 5.131 6.209 9.205
O 5.327 6.017 15.557
```